Crystalline MgF2 at its relaxed geometry. Source: Materials Project, functional PBE-GGA. Values from VASP.

The structure in Quantum ESPRESSO input format:
```
&SYSTEM
  ibrav = 0, nat = 6, ntyp = 2
/
ATOMIC_SPECIES
Mg 24.30 Mg.upf
F 19.00 F.upf
ATOMIC_POSITIONS crystal
Mg 0.0000 0.0000 0.0000
Mg 0.5000 0.5000 0.5000
F 0.1967 0.1967 0.5000
F 0.3033 0.6967 0.0000
F 0.6967 0.3033 0.0000
F 0.8033 0.8033 0.5000
CELL_PARAMETERS angstrom
4.6940 0.0000 0.0000
0.0000 4.6940 0.0000
0.0000 0.0000 3.0946
```

Output
Crystal system: tetragonal



Crystalline CsTiP2S8 at its relaxed geometry. Source: Materials Project, functional PBE-GGA. Values from VASP.

The structure in Quantum ESPRESSO input format:
```
&SYSTEM
  ibrav = 0, nat = 48, ntyp = 4
/
ATOMIC_SPECIES
Cs 132.91 Cs.upf
Ti 47.87 Ti.upf
P 30.97 P.upf
S 32.06 S.upf
ATOMIC_POSITIONS crystal
Cs 0.1061 0.5755 0.7672
Cs 0.2103 0.7897 0.5000
Cs 0.5755 0.1061 0.2672
Cs 0.7897 0.2103 0.0000
Ti 0.1115 0.3596 0.4950
Ti 0.3596 0.1115 0.9950
Ti 0.4278 0.7413 0.2511
Ti 0.7413 0.4278 0.7511
P 0.1786 0.7195 0.2506
P 0.2184 0.4892 0.0081
P 0.3405 0.9882 0.1336
P 0.4892 0.2184 0.5081
P 0.5099 0.8038 0.8593
P 0.7195 0.1786 0.7506
P 0.8038 0.5099 0.3593
P 0.9882 0.3405 0.6336
S 0.0019 0.2642 0.4230
S 0.0047 0.6758 0.0984
S 0.0228 0.3299 0.7511
S 0.0982 0.4403 0.9443
S 0.1046 0.9457 0.2935
S 0.1118 0.2508 0.0794
S 0.1264 0.6404 0.3127
S 0.2098 0.4802 0.5474
S 0.2322 0.6215 0.9635
S 0.2508 0.1118 0.5794
S 0.2642 0.0019 0.9230
S 0.3299 0.0228 0.2511
S 0.3549 0.7994 0.1132
S 0.4403 0.0982 0.4443
S 0.4661 0.5016 0.2204
S 0.4741 0.7832 0.7429
S 0.4802 0.2098 0.0474
S 0.5016 0.4661 0.7204
S 0.5170 0.7221 0.3878
S 0.5836 0.8613 0.0930
S 0.5904 0.9080 0.8922
S 0.6215 0.2322 0.4635
S 0.6404 0.1264 0.8127
S 0.6758 0.0047 0.5984
S 0.7221 0.5170 0.8878
S 0.7832 0.4741 0.2429
S 0.7994 0.3549 0.6132
S 0.8578 0.9868 0.6465
S 0.8613 0.5836 0.5930
S 0.9080 0.5904 0.3922
S 0.9457 0.1046 0.7935
S 0.9868 0.8578 0.1465
CELL_PARAMETERS angstrom
11.2028 -3.5660 0.0000
11.2028 3.5660 0.0000
-2.6323 0.0000 17.3913
```

Output
Crystal system: monoclinic



Crystalline CaSiO3 at its relaxed geometry. Source: Materials Project, functional PBE-GGA. Values from VASP.

The structure in Quantum ESPRESSO input format:
```
&SYSTEM
  ibrav = 0, nat = 20, ntyp = 3
/
ATOMIC_SPECIES
Ca 40.08 Ca.upf
Si 28.09 Si.upf
O 16.00 O.upf
ATOMIC_POSITIONS crystal
Ca 0.0000 0.0000 0.0000
Ca 0.0000 0.5000 0.5000
Ca 0.5000 0.0000 0.5000
Ca 0.5000 0.5000 0.0000
Si 0.0000 0.0000 0.5000
Si 0.0000 0.5000 0.0000
Si 0.5000 0.0000 0.0000
Si 0.5000 0.5000 0.5000
O 0.0185 0.2591 0.7594
O 0.2406 0.4997 0.2591
O 0.2406 0.9815 0.7409
O 0.2591 0.2406 0.4997
O 0.2591 0.7594 0.0185
O 0.4997 0.2591 0.2406
O 0.5003 0.7409 0.7594
O 0.7409 0.2406 0.9815
O 0.7409 0.7594 0.5003
O 0.7594 0.0185 0.2591
O 0.7594 0.5003 0.7409
O 0.9815 0.7409 0.2406
CELL_PARAMETERS angstrom
-3.6088 3.6088 3.6088
3.6088 -3.6088 3.6088
3.6088 3.6088 -3.6088
```

Output
Crystal system: cubic



no.,total energy (eV/cell)
1,-31.97
2,-244.64
3,-144.94